BaTe2P4: relaxed, GGA-PBE.

Unit cell a=16.680 b=6.530 c=7.247 alpha=90.00 beta=90.00 gamma=90.00
Space group Pnma (No. 62)
Asymmetric unit:
Ba 0.162 0.250 0.101
Te 0.063 0.750 0.938
Te 0.247 0.250 0.593
P 0.065 0.008 0.465
P 0.096 0.250 0.668
P 0.121 0.750 0.620

Energy, eV per atom: -4.78
Total magnetization, Bohr magnetons per cell: 0.00
Density, Mg/m³: 4.35

=====

Ba4TiP4: relaxed, GGA-PBE.

Unit cell a=13.277 b=13.277 c=13.277 alpha=90.00 beta=90.00 gamma=90.00
Space group P-43n (No. 218)
Asymmetric unit:
Ba 0.091 0.136 0.649
Ba 0.149 0.149 0.149
Ti 0.000 0.000 0.000
Ti 0.000 0.500 0.250
P 0.104 0.389 0.650
P 0.105 0.105 0.895

Energy, eV per atom: -5.21
Density, Mg/m³: 4.09

=====

BaPa3: relaxed, GGA-PBE.

Unit cell a=4.794 b=4.794 c=9.662 alpha=90.00 beta=90.00 gamma=90.00
Space group I4/mmm (No. 139)
Asymmetric unit:
Ba 0.000 0.000 0.000
Pa 0.000 0.000 0.500
Pa 0.000 0.500 0.250

Energy, eV per atom: -6.93
Total magnetization, Bohr magnetons per cell: 0.00
Density, Mg/m³: 12.42

=====

BaPb3: relaxed, GGA-PBE.

Unit cell a=5.162 b=5.162 c=5.162 alpha=90.00 beta=90.00 gamma=90.00
Space group Pm-3m (No. 221)
Asymmetric unit:
Ba 0.000 0.000 0.000
Pb 0.000 0.500 0.500

Energy, eV per atom: -3.59
Density, Mg/m³: 9.16

=====

Ba2Pb: relaxed, GGA-PBE.

Unit cell a=8.802 b=5.803 c=10.827 alpha=90.00 beta=90.00 gamma=90.00
Space group Pnma (No. 62)
Asymmetric unit:
Ba 0.019 0.250 0.183
Ba 0.160 0.250 0.579
Pb 0.247 0.250 0.898

Energy, eV per atom: -3.06
Density, Mg/m³: 5.79

=====

BaPb3: relaxed, GGA-PBE.

Unit cell a=7.4400 b=7.4400 c=26.2865 alpha=90.00 beta=90.00 gamma=120.00
Space group R-3m (No. 166, hexagonal axes)
Asymmetric unit:
Ba 0.0000 0.0000 0.0000
Ba 0.0000 0.0000 0.2174
Pb 0.0000 0.5000 0.0000
Pb 0.0424 0.5212 0.2233

Energy, eV per atom: -3.64
Density, Mg/m³: 9.00